A relaxed Ca2CoRhO6 crystal, computed with PBE+U.

Summary:
**Formation energy**: -1853 kJ/mol of formula units
**Raw total energy**: -6.16 eV per atom

Unit cell a=6.4805 b=6.4805 c=6.3085 alpha=93.70 beta=93.70 gamma=91.62
Fractional positions:
Ca 0.0000 0.0000 0.0000
Ca 0.2589 0.3822 0.3698
Ca 0.6178 0.7411 0.6302
Ca 0.7628 0.2372 0.5000
Co 0.1290 0.8710 0.5000
Co 0.6227 0.3773 0.0000
Rh 0.3802 0.1233 0.7620
Rh 0.8767 0.6198 0.2380
O 0.0792 0.1330 0.6573
O 0.1713 0.7197 0.2476
O 0.2803 0.8287 0.7524
O 0.3390 0.2009 0.0497
O 0.3972 0.0394 0.4592
O 0.4918 0.4150 0.7137
O 0.5850 0.5082 0.2863
O 0.6831 0.0876 0.8263
O 0.7991 0.6610 0.9503
O 0.8670 0.9208 0.3427
O 0.9124 0.3169 0.1737
O 0.9606 0.6028 0.5408

A relaxed Sr4CaCo2S2O6 crystal, computed with PBE+U.

Summary:
**Formation energy**: -3293 kJ/mol of formula units
**Raw total energy**: -5.78 eV per atom

Unit cell a=3.9049 b=3.9049 c=16.9047 alpha=90.00 beta=90.00 gamma=90.00
Fractional positions:
Sr 0.0000 0.5000 0.0814
Sr 0.0000 0.5000 0.2957
Sr 0.5000 0.0000 0.7043
Sr 0.5000 0.0000 0.9186
Ca 0.0000 0.0000 0.5000
Co 0.0000 0.5000 0.8211
Co 0.5000 0.0000 0.1789
S 0.0000 0.5000 0.6120
S 0.5000 0.0000 0.3880
O 0.0000 0.0000 0.1984
O 0.0000 0.0000 0.8016
O 0.0000 0.5000 0.9352
O 0.5000 0.0000 0.0648
O 0.5000 0.5000 0.1974
O 0.5000 0.5000 0.8026

A relaxed Sr3CaCo2S2O5 crystal, computed with PBE+U.

Summary:
**Formation energy**: -2662 kJ/mol of formula units
**Raw total energy**: -5.71 eV per atom

Unit cell a=14.7436 b=14.7436 c=14.7436 alpha=164.74 beta=164.74 gamma=21.65
Fractional positions:
Sr 0.0000 0.0000 0.0000
Sr 0.1308 0.1308 0.0000
Sr 0.8692 0.8692 0.0000
Ca 0.2500 0.7500 0.5000
Co 0.4346 0.4346 0.0000
Co 0.5654 0.5654 0.0000
S 0.3151 0.3151 0.0000
S 0.6849 0.6849 0.0000
O 0.0753 0.5753 0.5000
O 0.4247 0.9247 0.5000
O 0.5000 0.5000 0.0000
O 0.5748 0.0748 0.5000
O 0.9252 0.4252 0.5000

A relaxed CaCo5SbO8 crystal, computed with PBE+U.

Summary:
**Formation energy**: -2177 kJ/mol of formula units
**Raw total energy**: -6.01 eV per atom

Unit cell a=6.1421 b=6.2573 c=6.2580 alpha=61.25 beta=61.33 gamma=61.27
Fractional positions:
Ca 0.0000 0.0000 0.0000
Co 0.0120 0.0203 0.4792
Co 0.0115 0.4764 0.0211
Co 0.5050 0.5071 0.5068
Co 0.5074 0.0023 0.5100
Co 0.5072 0.5111 0.0018
Sb 0.0075 0.5077 0.5072
O 0.2370 0.2814 0.2787
O 0.2446 0.7251 0.2826
O 0.2462 0.2809 0.7235
O 0.2856 0.7439 0.7427
O 0.7280 0.2660 0.2656
O 0.7678 0.7235 0.2919
O 0.7696 0.2908 0.7209
O 0.7850 0.7314 0.7341

A relaxed CaCoSb2O7 crystal, computed with PBE+U.

Summary:
**Formation energy**: -2112 kJ/mol of formula units
**Raw total energy**: -6.13 eV per atom

Unit cell a=7.3791 b=15.0238 c=11.5766 alpha=90.00 beta=103.92 gamma=90.00
Fractional positions:
Ca 0.0600 0.0073 0.2372
Ca 0.0600 0.4927 0.7372
Ca 0.3200 0.1235 0.9691
Ca 0.3200 0.3765 0.4691
Ca 0.6800 0.6235 0.5309
Ca 0.6800 0.8765 0.0309
Ca 0.9400 0.5073 0.2628
Ca 0.9400 0.9927 0.7628
Co 0.0075 0.7463 0.2464
Co 0.0075 0.7537 0.7464
Co 0.3509 0.6572 0.9187
Co 0.3509 0.8428 0.4187
Co 0.6491 0.1572 0.5813
Co 0.6491 0.3428 0.0813
Co 0.9925 0.2463 0.2536
Co 0.9925 0.2537 0.7536
Sb 0.1385 0.1425 0.5323
Sb 0.1385 0.3575 0.0323
Sb 0.1604 0.6246 0.5218
Sb 0.1604 0.8754 0.0218
Sb 0.4214 0.5215 0.1987
Sb 0.4214 0.9785 0.6987
Sb 0.4949 0.2271 0.2775
Sb 0.4949 0.2729 0.7775
Sb 0.5051 0.7271 0.2225
Sb 0.5051 0.7729 0.7225
Sb 0.5786 0.0215 0.3013
Sb 0.5786 0.4785 0.8013
Sb 0.8396 0.1246 0.9782
Sb 0.8396 0.3754 0.4782
Sb 0.8615 0.6425 0.9677
Sb 0.8615 0.8575 0.4677
O 0.0024 0.1483 0.8770
O 0.0024 0.3517 0.3770
O 0.0080 0.6446 0.3674
O 0.0080 0.8554 0.8674
O 0.0315 0.1359 0.3672
O 0.0315 0.3641 0.8672
O 0.0529 0.6545 0.8821
O 0.0529 0.8455 0.3821
O 0.2135 0.5039 0.5540
O 0.2135 0.9961 0.0540
O 0.2320 0.0225 0.5544
O 0.2320 0.4775 0.0544
O 0.2724 0.2254 0.8050
O 0.2724 0.2746 0.3050
O 0.2744 0.0163 0.8044
O 0.2744 0.4837 0.3044
O 0.2960 0.7433 0.7866
O 0.2960 0.7567 0.2866
O 0.3559 0.2176 0.5770
O 0.3559 0.2824 0.0770
O 0.3698 0.5482 0.8203
O 0.3698 0.9518 0.3203
O 0.3886 0.6930 0.5612
O 0.3886 0.8070 0.0612
O 0.4125 0.6318 0.0966
O 0.4125 0.8682 0.5966
O 0.4362 0.1140 0.1859
O 0.4362 0.3860 0.6859
O 0.5638 0.6140 0.3141
O 0.5638 0.8860 0.8141
O 0.5875 0.1318 0.4034
O 0.5875 0.3682 0.9034
O 0.6114 0.1930 0.9388
O 0.6114 0.3070 0.4388
O 0.6302 0.0482 0.6797
O 0.6302 0.4518 0.1797
O 0.6441 0.7176 0.9230
O 0.6441 0.7824 0.4230
O 0.7040 0.2433 0.7134
O 0.7040 0.2567 0.2134
O 0.7256 0.5163 0.6956
O 0.7256 0.9837 0.1956
O 0.7276 0.7254 0.6950
O 0.7276 0.7746 0.1950
O 0.7680 0.5225 0.9456
O 0.7680 0.9775 0.4456
O 0.7865 0.0039 0.9460
O 0.7865 0.4961 0.4460
O 0.9471 0.1545 0.6179
O 0.9471 0.3455 0.1179
O 0.9685 0.6359 0.1328
O 0.9685 0.8641 0.6328
O 0.9920 0.1446 0.1326
O 0.9920 0.3554 0.6326
O 0.9976 0.6483 0.6230
O 0.9976 0.8517 0.1230

A relaxed Ca3ScCoO6 crystal, computed with PBE+U.

Summary:
**Formation energy**: -3211 kJ/mol of formula units
**Raw total energy**: -6.97 eV per atom

Unit cell a=6.3964 b=6.3964 c=6.3964 alpha=92.47 beta=92.47 gamma=92.47
Fractional positions:
Ca 0.1184 0.7500 0.3816
Ca 0.2500 0.6184 0.8816
Ca 0.3816 0.1184 0.7500
Ca 0.6184 0.8816 0.2500
Ca 0.7500 0.3816 0.1184
Ca 0.8816 0.2500 0.6184
Sc 0.2500 0.2500 0.2500
Sc 0.7500 0.7500 0.7500
Co 0.0000 0.0000 0.0000
Co 0.5000 0.5000 0.5000
O 0.0424 0.9116 0.7096
O 0.0884 0.2904 0.9576
O 0.2096 0.4116 0.5424
O 0.2904 0.9576 0.0884
O 0.4116 0.5424 0.2096
O 0.4576 0.7904 0.5884
O 0.5424 0.2096 0.4116
O 0.5884 0.4576 0.7904
O 0.7096 0.0424 0.9116
O 0.7904 0.5884 0.4576
O 0.9116 0.7096 0.0424
O 0.9576 0.0884 0.2904

A relaxed Ca5Sc2Co2O12 crystal, computed with PBE+U.

Summary:
**ΔE to the lowest computed polymorph**: 0.22 eV per formula unit
**Formation energy**: -5730 kJ/mol of formula units
**Raw total energy**: -6.86 eV per atom

Unit cell a=6.3708 b=9.0982 c=9.2396 alpha=89.91 beta=90.00 gamma=84.50
Fractional positions:
Ca 0.0000 0.0000 0.0000
Ca 0.0011 0.5000 0.4955
Ca 0.1355 0.8119 0.3153
Ca 0.1414 0.3104 0.8125
Ca 0.3711 0.6804 0.9507
Ca 0.3746 0.1799 0.4575
Ca 0.6251 0.8182 0.4576
Ca 0.6295 0.3213 0.9497
Ca 0.8581 0.6903 0.8126
Ca 0.8656 0.1864 0.3159
Sc 0.0004 0.5000 0.1294
Sc 0.5000 0.0000 0.1315
Sc 0.5011 0.5004 0.6213
Sc 0.9986 0.9994 0.6378
Co 0.2423 0.7484 0.6340
Co 0.2508 0.2530 0.1358
Co 0.7499 0.7472 0.1359
Co 0.7569 0.2510 0.6339
O 0.0430 0.7290 0.0724
O 0.0478 0.2219 0.5692
O 0.1373 0.8598 0.8013
O 0.1467 0.3609 0.2985
O 0.1986 0.5664 0.7248
O 0.2089 0.0499 0.2381
O 0.2758 0.4413 0.0125
O 0.2804 0.9249 0.5288
O 0.3257 0.6330 0.4700
O 0.3274 0.1350 0.9749
O 0.4678 0.2888 0.6952
O 0.4702 0.7802 0.1982
O 0.5296 0.2197 0.1990
O 0.5310 0.7118 0.6968
O 0.6725 0.8658 0.9750
O 0.6794 0.3660 0.4705
O 0.7181 0.0726 0.5284
O 0.7246 0.5594 0.0135
O 0.7916 0.9493 0.2375
O 0.8006 0.4346 0.7255
O 0.8545 0.6385 0.2986
O 0.8594 0.1419 0.8010
O 0.9516 0.7758 0.5692
O 0.9580 0.2711 0.0722

A relaxed Ca5Sc2Co2O12 crystal, computed with PBE+U.

Summary:
**ΔE to the lowest computed polymorph**: 0.14 eV per formula unit
**Formation energy**: -5738 kJ/mol of formula units
**Raw total energy**: -6.87 eV per atom

Unit cell a=6.4321 b=8.8273 c=9.3726 alpha=89.89 beta=88.69 gamma=86.47
Fractional positions:
Ca 0.0000 0.0000 0.0000
Ca 0.0006 0.4964 0.4981
Ca 0.1330 0.8289 0.6778
Ca 0.1338 0.3278 0.1820
Ca 0.4940 0.0057 0.1317
Ca 0.4981 0.5044 0.6296
Ca 0.6189 0.3261 0.9492
Ca 0.6224 0.8268 0.4463
Ca 0.7674 0.6374 0.1283
Ca 0.7722 0.1374 0.6228
Sc 0.1270 0.3206 0.8151
Sc 0.1310 0.8223 0.3130
Sc 0.6223 0.3180 0.3174
Sc 0.6253 0.8200 0.8160
Co 0.3817 0.0739 0.8098
Co 0.3820 0.5752 0.3148
Co 0.8821 0.0707 0.3104
Co 0.8858 0.5739 0.8141
O 0.0871 0.0909 0.7629
O 0.0912 0.5926 0.2631
O 0.1572 0.5462 0.7352
O 0.1576 0.0455 0.2334
O 0.2887 0.2057 0.9868
O 0.2915 0.6978 0.4800
O 0.3376 0.3969 0.4166
O 0.3378 0.8977 0.9147
O 0.4313 0.2627 0.7278
O 0.4349 0.7639 0.2276
O 0.4802 0.4475 0.1587
O 0.4824 0.9399 0.6517
O 0.6024 0.0874 0.3717
O 0.6039 0.5873 0.8708
O 0.6649 0.5506 0.3804
O 0.6668 0.0516 0.8822
O 0.7909 0.1909 0.1489
O 0.7919 0.6923 0.6459
O 0.8396 0.3738 0.7053
O 0.8400 0.8812 0.2120
O 0.9096 0.2621 0.4037
O 0.9104 0.7700 0.9088
O 0.9482 0.4411 0.9757
O 0.9525 0.9431 0.4727

A relaxed Ca6ScCo3O12 crystal, computed with PBE+U.

Summary:
**Formation energy**: -5708 kJ/mol of formula units
**Raw total energy**: -6.59 eV per atom

Unit cell a=6.4508 b=6.4508 c=6.4508 alpha=92.75 beta=92.75 gamma=92.75
Fractional positions:
Ca 0.0000 0.3680 0.6320
Ca 0.1346 0.8654 0.5000
Ca 0.3680 0.6320 0.0000
Ca 0.5000 0.1346 0.8654
Ca 0.6320 0.0000 0.3680
Ca 0.8654 0.5000 0.1346
Sc 0.0000 0.0000 0.0000
Co 0.2509 0.2509 0.2509
Co 0.5000 0.5000 0.5000
Co 0.7491 0.7491 0.7491
O 0.0467 0.7072 0.8400
O 0.1600 0.2928 0.9533
O 0.2123 0.5464 0.3445
O 0.2928 0.9533 0.1600
O 0.3445 0.2123 0.5464
O 0.4536 0.7877 0.6555
O 0.5464 0.3445 0.2123
O 0.6555 0.4536 0.7877
O 0.7072 0.8400 0.0467
O 0.7877 0.6555 0.4536
O 0.8400 0.0467 0.7072
O 0.9533 0.1600 0.2928

A relaxed Ca5Sc2Co2O12 crystal, computed with PBE+U.

Summary:
**ΔE to the lowest computed polymorph**: 0.00 eV per formula unit
**Formation energy**: -5752 kJ/mol of formula units
**Raw total energy**: -6.88 eV per atom

Unit cell a=6.3905 b=6.4349 c=6.4492 alpha=91.07 beta=93.69 gamma=93.64
Fractional positions:
Ca 0.0000 0.0000 0.0000
Ca 0.1389 0.5075 0.8742
Ca 0.3731 0.2723 0.3589
Ca 0.6257 0.6402 0.7265
Ca 0.8592 0.1263 0.4923
Sc 0.5001 0.1271 0.8716
Sc 0.9977 0.6379 0.3630
Co 0.2440 0.8883 0.6125
Co 0.7540 0.3874 0.1117
O 0.0445 0.3489 0.2025
O 0.1420 0.9419 0.3359
O 0.2021 0.1685 0.7011
O 0.2790 0.5998 0.5454
O 0.3243 0.8417 0.8922
O 0.4665 0.4123 0.0144
O 0.5320 0.9863 0.5858
O 0.6770 0.1073 0.1574
O 0.7175 0.4562 0.4006
O 0.7968 0.2982 0.8310
O 0.8550 0.6638 0.0579
O 0.9533 0.7982 0.6520

A relaxed Ca3CoSe4O12 crystal, computed with PBE+U.

Summary:
**Formation energy**: -4015 kJ/mol of formula units
**Raw total energy**: -5.91 eV per atom

Unit cell a=12.6473 b=12.6473 c=12.6473 alpha=144.53 beta=144.53 gamma=51.03
Fractional positions:
Ca 0.1986 0.9486 0.2500
Ca 0.3750 0.1250 0.2500
Ca 0.4486 0.6986 0.7500
Ca 0.5514 0.3014 0.2500
Ca 0.6250 0.8750 0.7500
Ca 0.8014 0.0514 0.7500
Co 0.1250 0.3750 0.7500
Co 0.8750 0.6250 0.2500
Se 0.1106 0.3708 0.0982
Se 0.1292 0.7273 0.7398
Se 0.2273 0.9875 0.5982
Se 0.4875 0.3894 0.7602
Se 0.5125 0.6106 0.2398
Se 0.7727 0.0125 0.4018
Se 0.8708 0.2727 0.2602
Se 0.8894 0.6292 0.9018
O 0.0716 0.2047 0.0261
O 0.0754 0.2361 0.4625
O 0.1129 0.5754 0.3393
O 0.1345 0.9018 0.9763
O 0.2639 0.2264 0.8393
O 0.2736 0.6129 0.0375
O 0.2953 0.8214 0.8669
O 0.3214 0.9545 0.5261
O 0.3418 0.3655 0.2673
O 0.4018 0.9255 0.7673
O 0.4255 0.1582 0.5237
O 0.4545 0.4284 0.6331
O 0.5455 0.5716 0.3669
O 0.5745 0.8418 0.4763
O 0.5982 0.0745 0.2327
O 0.6582 0.6345 0.7327
O 0.6786 0.0455 0.4739
O 0.7047 0.1786 0.1331
O 0.7264 0.3871 0.9625
O 0.7361 0.7736 0.1607
O 0.8655 0.0982 0.0237
O 0.8871 0.4246 0.6607
O 0.9246 0.7639 0.5375
O 0.9284 0.7953 0.9739

Q: What is the formation energy in the fifth record?
A: -2112 kJ/mol of formula units

Q: Which formula does entry 7 have?
A: Ca5Sc2Co2O12

Q: What is the formation energy in the eleventh record?
A: -4015 kJ/mol of formula units